1.
Here is Li6CoNi9O20 after structural relaxation from the Materials Project database. Energies are from PBE with a Hubbard U.

Lattice parameters (Å, degrees): 22.956 2.831 11.716 90.00 114.35 90.00
Space group C2/m (No. 12)
Symmetry-distinct sites (fractional):
Li (0.091, 0.000, 0.436) [4 per cell]
Li (0.098, 0.000, 0.948) [4 per cell]
Li (0.207, 0.500, 0.668) [4 per cell]
Co (0.000, 0.500, 0.000) [2 per cell]
Ni (0.000, 0.500, 0.500) [2 per cell]
Ni (0.098, 0.000, 0.702) [4 per cell]
Ni (0.099, 0.000, 0.200) [4 per cell]
Ni (0.200, 0.500, 0.403) [4 per cell]
Ni (0.202, 0.500, 0.900) [4 per cell]
O (0.001, 0.000, 0.107) [4 per cell]
O (0.001, 0.000, 0.607) [4 per cell]
O (0.090, 0.500, 0.077) [4 per cell]
O (0.091, 0.500, 0.575) [4 per cell]
O (0.112, 0.500, 0.329) [4 per cell]
O (0.113, 0.500, 0.832) [4 per cell]
O (0.199, 0.000, 0.789) [4 per cell]
O (0.200, 0.000, 0.299) [4 per cell]
O (0.206, 0.000, 0.009) [4 per cell]
O (0.206, 0.000, 0.518) [4 per cell]

2.
Here is NiMoO4 after structural relaxation from the Materials Project database. Energies are from PBE with a Hubbard U.

Lattice parameters (Å, degrees): 9.738 8.897 7.775 90.00 114.12 90.00
Space group C2/m (No. 12)
Symmetry-distinct sites (fractional):
Ni (0.000, 0.186, 0.000) [4 per cell]
Ni (0.186, 0.000, 0.343) [4 per cell]
Mo (0.000, 0.217, 0.500) [4 per cell]
Mo (0.217, 0.000, 0.862) [4 per cell]
O (0.002, 0.151, 0.739) [8 per cell]
O (0.150, 0.000, 0.062) [4 per cell]
O (0.152, 0.000, 0.587) [4 per cell]
O (0.156, 0.338, 0.579) [8 per cell]
O (0.161, 0.345, 0.078) [8 per cell]

3.
Here is Li5Mn5Sb2O12 after structural relaxation from the Materials Project database. Energies are from PBE with a Hubbard U.

Lattice parameters (Å, degrees): 5.415 9.568 10.415 90.00 102.07 90.00
Space group C2 (No. 5)
Symmetry-distinct sites (fractional):
Li (0.000, 0.000, 0.000) [2 per cell]
Li (0.242, 0.832, 0.246) [4 per cell]
Li (0.249, 0.511, 0.248) [4 per cell]
Mn (0.000, 0.341, 0.000) [2 per cell]
Mn (0.000, 0.501, 0.500) [2 per cell]
Mn (0.000, 0.841, 0.500) [2 per cell]
Mn (0.242, 0.166, 0.244) [4 per cell]
Sb (0.000, 0.172, 0.500) [2 per cell]
Sb (0.000, 0.669, 0.000) [2 per cell]
O (0.109, 0.518, 0.886) [4 per cell]
O (0.112, 0.818, 0.884) [4 per cell]
O (0.116, 0.010, 0.375) [4 per cell]
O (0.116, 0.330, 0.376) [4 per cell]
O (0.126, 0.671, 0.380) [4 per cell]
O (0.147, 0.172, 0.882) [4 per cell]

What are the total energy after the MP2020 corrections values for these records? In order: -0.4393, -0.5745, -0.5270 Ry/atom.
What are the formation energy from the elements values for these records? In order: -45.6, -10.5, -49.1 eV/f.u..